(1)
First-principles (meta-GGA r2SCAN) data for an optimized crystal structure of Rb, as listed in Materials Project.

a = 5.0882 Å, b = 5.0882 Å, c = 8.4421 Å
α = 90.00°, β = 90.00°, γ = 120.00°
Last column: nearest neighbours and their distance in Å.
Element x y z (fractional)
Rb: 0.3333 0.6667 0.2500  12 Rb 5.09-5.14
Rb: 0.6667 0.3333 0.7500  12 Rb 5.09-5.14

Computed properties:
crystal system: hexagonal
space group: P6_3/mmc (194)
ΔE to the lowest computed polymorph: 0.0097 eV/atom
electronic total energy: -13.921 eV per atom
energy of formation: 0.0097 eV per atom

(2)
First-principles (meta-GGA r2SCAN) data for an optimized crystal structure of Rb, as listed in Materials Project.

a = 12.4823 Å, b = 12.4823 Å, c = 12.4823 Å
α = 90.00°, β = 90.00°, γ = 90.00°
Last column: nearest neighbours and their distance in Å.
Element x y z (fractional)
Rb: 0.8750 0.7031 0.0469  12 Rb 5.06-5.30
Rb: 0.0624 0.0624 0.0624  9 Rb 4.68-5.24
Rb: 0.2031 0.4531 0.1250  12 Rb 5.06-5.30
Rb: 0.8124 0.3124 0.1876  9 Rb 4.68-5.24
Rb: 0.4531 0.1250 0.2031  12 Rb 5.06-5.30
Rb: 0.5469 0.6250 0.2969  12 Rb 5.06-5.30
Rb: 0.1876 0.8124 0.3124  9 Rb 4.68-5.24
Rb: 0.7969 0.9531 0.3750  12 Rb 5.06-5.30
Rb: 0.9376 0.5624 0.4376  9 Rb 4.68-5.24
Rb: 0.1250 0.2031 0.4531  12 Rb 5.06-5.30
Rb: 0.6250 0.2969 0.5469  12 Rb 5.06-5.30
Rb: 0.4376 0.9376 0.5624  9 Rb 4.68-5.24
Rb: 0.2969 0.5469 0.6250  12 Rb 5.06-5.30
Rb: 0.6876 0.6876 0.6876  9 Rb 4.68-5.24
Rb: 0.0469 0.8750 0.7031  12 Rb 5.06-5.30
Rb: 0.9531 0.3750 0.7969  12 Rb 5.06-5.30
Rb: 0.3124 0.1876 0.8124  9 Rb 4.68-5.24
Rb: 0.7031 0.0469 0.8750  12 Rb 5.06-5.30
Rb: 0.5624 0.4376 0.9376  9 Rb 4.68-5.24
Rb: 0.3750 0.7969 0.9531  12 Rb 5.06-5.30

Computed properties:
crystal system: cubic
space group: P4_132 (213)
ΔE to the lowest computed polymorph: 0.0145 eV/atom
electronic total energy: -13.916 eV per atom
energy of formation: 0.0145 eV per atom

(3)
First-principles (meta-GGA r2SCAN) data for an optimized crystal structure of Rb, as listed in Materials Project.

a = 7.9831 Å, b = 13.1469 Å, c = 13.1735 Å
α = 35.39°, β = 72.05°, γ = 72.34°
Last column: nearest neighbours and their distance in Å.
Element x y z (fractional)
Rb: 0.5589 0.6919 0.1818  8 Rb 4.93-5.05
Rb: 0.9332 0.8150 0.3104  8 Rb 4.94-5.05
Rb: 0.6845 0.0722 0.5520  9 Rb 4.94-5.50
Rb: 0.4341 0.3086 0.8167  8 Rb 4.93-5.05
Rb: 0.3085 0.9266 0.4492  9 Rb 4.94-5.51
Rb: 0.8084 0.4469 0.9287  9 Rb 4.94-5.51
Rb: 0.0600 0.1807 0.6933  8 Rb 4.94-5.05
Rb: 0.1839 0.5498 0.0744  9 Rb 4.94-5.50

Computed properties:
crystal system: triclinic
space group: P1 (1)
ΔE to the lowest computed polymorph: 0.0001 eV/atom
electronic total energy: -13.931 eV per atom
energy of formation: 0.0001 eV per atom

(4)
First-principles (meta-GGA r2SCAN) data for an optimized crystal structure of Rb, as listed in Materials Project.

a = 10.0527 Å, b = 10.0698 Å, c = 10.7087 Å
α = 57.92°, β = 58.10°, γ = 64.17°
Last column: nearest neighbours and their distance in Å.
Element x y z (fractional)
Rb: 0.5010 0.6263 0.1231  12 Rb 4.99-5.40
Rb: 0.0031 0.1301 0.1256  12 Rb 4.96-5.36
Rb: 0.4997 0.1311 0.6185  12 Rb 4.99-5.39
Rb: 0.5009 0.1259 0.1216  12 Rb 4.96-5.37
Rb: 0.4973 0.6316 0.6268  12 Rb 4.99-5.40
Rb: 0.0032 0.6261 0.6246  12 Rb 5.00-5.39
Rb: 0.9944 0.1244 0.6329  12 Rb 4.96-5.37
Rb: 0.9988 0.6255 0.1305  12 Rb 5.00-5.39

Computed properties:
crystal system: triclinic
space group: P1 (1)
ΔE to the lowest computed polymorph: 0.0161 eV/atom
electronic total energy: -13.915 eV per atom
energy of formation: 0.0161 eV per atom

(5)
First-principles (meta-GGA r2SCAN) data for an optimized crystal structure of Rb, as listed in Materials Project.

a = 8.2128 Å, b = 8.1812 Å, c = 12.6820 Å
α = 109.33°, β = 108.70°, γ = 90.40°
Last column: nearest neighbours and their distance in Å.
Element x y z (fractional)
Rb: 0.4340 0.6880 0.8748  8 Rb 4.91-5.01
Rb: 0.0581 0.8103 0.1234  8 Rb 4.94-5.00
Rb: 0.3096 0.0660 0.6253  8 Rb 4.91-5.01
Rb: 0.5587 0.3103 0.1248  8 Rb 4.92-5.01
Rb: 0.6822 0.9334 0.3735  8 Rb 4.92-5.01
Rb: 0.1860 0.4429 0.3777  8 Rb 4.92-5.00
Rb: 0.9334 0.1841 0.8750  8 Rb 4.94-4.99
Rb: 0.8079 0.5566 0.6237  8 Rb 4.92-5.01

Computed properties:
crystal system: triclinic
space group: P1 (1)
ΔE to the lowest computed polymorph: 0.0000 eV/atom
electronic total energy: -13.931 eV per atom
energy of formation: 0.0000 eV per atom

(6)
First-principles (meta-GGA r2SCAN) data for an optimized crystal structure of Rb, as listed in Materials Project.

a = 5.0683 Å, b = 5.0683 Å, c = 5.1690 Å
α = 119.36°, β = 119.36°, γ = 90.00°
Last column: nearest neighbours and their distance in Å.
Element x y z (fractional)
Rb: 0.0000 0.0000 0.0000  12 Rb 5.07-5.17

Computed properties:
crystal system: tetragonal
space group: I4/mmm (139)
ΔE to the lowest computed polymorph: 0.0147 eV/atom
electronic total energy: -13.916 eV per atom
energy of formation: 0.0147 eV per atom

(7)
First-principles (meta-GGA r2SCAN) data for an optimized crystal structure of Rb, as listed in Materials Project.

a = 5.1184 Å, b = 5.1184 Å, c = 8.4480 Å
α = 90.00°, β = 90.00°, γ = 120.54°
Last column: nearest neighbours and their distance in Å.
Element x y z (fractional)
Rb: 0.8397 0.1603 0.2500  12 Rb 5.08-5.18
Rb: 0.1603 0.8397 0.7500  12 Rb 5.08-5.18

Computed properties:
crystal system: orthorhombic
space group: Cmcm (63)
ΔE to the lowest computed polymorph: 0.0097 eV/atom
electronic total energy: -13.921 eV per atom
energy of formation: 0.0097 eV per atom

(8)
First-principles (meta-GGA r2SCAN) data for an optimized crystal structure of Rb, as listed in Materials Project.

a = 13.0339 Å, b = 13.0339 Å, c = 8.2538 Å
α = 71.29°, β = 71.29°, γ = 35.63°
Last column: nearest neighbours and their distance in Å.
Element x y z (fractional)
Rb: 0.1804 0.6925 0.5620  8 Rb 4.88-5.12
Rb: 0.3075 0.8196 0.9380  8 Rb 4.88-5.12
Rb: 0.5457 0.0770 0.6873  8 Rb 4.88-5.07
Rb: 0.8196 0.3075 0.4380  8 Rb 4.88-5.12
Rb: 0.4543 0.9230 0.3127  8 Rb 4.88-5.07
Rb: 0.9230 0.4543 0.8127  8 Rb 4.88-5.07
Rb: 0.6925 0.1804 0.0620  8 Rb 4.88-5.12
Rb: 0.0770 0.5457 0.1873  8 Rb 4.88-5.07

Computed properties:
crystal system: monoclinic
space group: C2/c (15)
ΔE to the lowest computed polymorph: 0.0087 eV/atom
electronic total energy: -13.922 eV per atom
energy of formation: 0.0087 eV per atom

(9)
First-principles (meta-GGA r2SCAN) data for an optimized crystal structure of Rb, as listed in Materials Project.

a = 4.9023 Å, b = 9.1957 Å, c = 9.1874 Å
α = 85.92°, β = 74.53°, γ = 74.54°
Last column: nearest neighbours and their distance in Å.
Element x y z (fractional)
Rb: 0.3800 0.5000 0.2400  7 Rb 4.60-4.91
Rb: 0.3700 0.0000 0.2600  7 Rb 4.60-4.91
Rb: 0.1200 0.5000 0.7600  7 Rb 4.60-4.91
Rb: 0.6300 0.0000 0.7400  7 Rb 4.60-4.91

Computed properties:
crystal system: orthorhombic
space group: Fddd (70)
ΔE to the lowest computed polymorph: 0.0685 eV/atom
electronic total energy: -13.862 eV per atom
energy of formation: 0.0685 eV per atom

(10)
First-principles (meta-GGA r2SCAN) data for an optimized crystal structure of Rb, as listed in Materials Project.

a = 5.4617 Å, b = 4.9916 Å, c = 4.9916 Å
α = 72.58°, β = 56.83°, γ = 56.83°
Last column: nearest neighbours and their distance in Å.
Element x y z (fractional)
Rb: 0.0000 0.0000 0.0000  10 Rb 4.99-5.46

Computed properties:
crystal system: tetragonal
space group: I4/mmm (139)
ΔE to the lowest computed polymorph: 0.0191 eV/atom
electronic total energy: -13.912 eV per atom
energy of formation: 0.0191 eV per atom

(11)
First-principles (meta-GGA r2SCAN) data for an optimized crystal structure of Rb, as listed in Materials Project.

a = 10.0370 Å, b = 10.9329 Å, c = 10.0428 Å
α = 56.86°, β = 66.33°, γ = 57.01°
Last column: nearest neighbours and their distance in Å.
Element x y z (fractional)
Rb: 0.4792 0.6463 0.1099  12 Rb 4.98-5.57
Rb: 0.9851 0.1375 0.1348  10 Rb 4.97-5.28
Rb: 0.5121 0.1314 0.6133  11 Rb 4.98-5.54
Rb: 0.4948 0.1346 0.1163  12 Rb 5.00-5.55
Rb: 0.5126 0.6246 0.6133  11 Rb 4.97-5.54
Rb: 0.0107 0.6236 0.6282  12 Rb 4.98-5.57
Rb: 0.0167 0.1065 0.6468  12 Rb 4.97-5.55
Rb: 0.9872 0.6164 0.1412  10 Rb 4.99-5.28

Computed properties:
crystal system: triclinic
space group: P1 (1)
ΔE to the lowest computed polymorph: 0.0047 eV/atom
electronic total energy: -13.926 eV per atom
energy of formation: 0.0047 eV per atom

(12)
First-principles (meta-GGA r2SCAN) data for an optimized crystal structure of Rb, as listed in Materials Project.

a = 5.1476 Å, b = 5.1476 Å, c = 5.1476 Å
α = 60.00°, β = 60.00°, γ = 60.00°
Last column: nearest neighbours and their distance in Å.
Element x y z (fractional)
Rb: 0.0000 0.0000 0.0000  12 Rb 5.15

Computed properties:
crystal system: cubic
space group: Fm-3m (225)
ΔE to the lowest computed polymorph: 0.0148 eV/atom
electronic total energy: -13.916 eV per atom
energy of formation: 0.0148 eV per atom